(1)
# Sr2SbAu

A relaxed structure of Sr2SbAu (PBE, the Materials Project).

* ΔH_f (0 K): -0.9313 eV per atom
* crystal system: cubic

a = 5.612 Å, b = 5.612 Å, c = 5.612 Å
α = 60.00°, β = 60.00°, γ = 60.00°
Fractional positions:
Sr: 0.250 0.250 0.250
Sr: 0.750 0.750 0.750
Sb: 0.000 0.000 0.000
Au: 0.500 0.500 0.500

(2)
# SiW3

A relaxed structure of SiW3 (PBE, the Materials Project).

* ΔH_f (0 K): 1.3390 eV per atom
* total magnetization: 0.001 μB/atom
* crystal system: cubic

a = 4.514 Å, b = 4.514 Å, c = 4.514 Å
α = 109.47°, β = 109.47°, γ = 109.47°
Fractional positions:
Si: 0.000 0.000 0.000
W: 0.500 0.500 0.000
W: 0.500 0.000 0.500
W: 0.000 0.500 0.500

(3)
# Li5InO4

A relaxed structure of Li5InO4 (PBE, the Materials Project).

* ΔH_f (0 K): -2.0140 eV per atom
* total magnetization: 0.000 μB/atom
* distance to the lowest polymorph of the same formula: 0.0346 eV/atom
* crystal system: orthorhombic

a = 4.815 Å, b = 6.634 Å, c = 6.957 Å
α = 90.00°, β = 90.00°, γ = 90.00°
Fractional positions:
Li: 0.249 0.762 0.806
Li: 0.249 0.238 0.806
Li: 0.766 0.500 0.000
Li: 0.249 0.762 0.194
Li: 0.249 0.238 0.194
Li: 0.751 0.738 0.306
Li: 0.751 0.262 0.306
Li: 0.234 0.000 0.500
Li: 0.751 0.262 0.694
Li: 0.751 0.738 0.694
In: 0.772 0.000 0.000
In: 0.228 0.500 0.500
O: 0.009 0.000 0.748
O: 0.536 0.742 0.000
O: 0.536 0.258 0.000
O: 0.009 0.000 0.252
O: 0.991 0.500 0.248
O: 0.464 0.758 0.500
O: 0.464 0.242 0.500
O: 0.991 0.500 0.752

(4)
# UC3N4O11

A relaxed structure of UC3N4O11 (PBE, the Materials Project).

* ΔH_f (0 K): -0.2905 eV per atom
* total magnetization: 0.421 μB/atom
* crystal system: monoclinic

a = 7.416 Å, b = 7.416 Å, c = 13.284 Å
α = 86.94°, β = 86.94°, γ = 81.53°
Fractional positions:
U: 0.194 0.806 0.750
U: 0.806 0.194 0.250
C: 0.496 0.504 0.750
C: 0.504 0.496 0.250
C: 0.931 0.843 0.594
C: 0.157 0.069 0.906
C: 0.069 0.157 0.406
C: 0.843 0.931 0.094
N: 0.661 0.983 0.855
N: 0.017 0.339 0.645
N: 0.339 0.017 0.145
N: 0.983 0.661 0.355
N: 0.221 0.567 0.043
N: 0.433 0.779 0.457
N: 0.779 0.433 0.957
N: 0.567 0.221 0.543
O: 0.391 0.534 0.676
O: 0.466 0.609 0.824
O: 0.609 0.466 0.324
O: 0.534 0.391 0.176
O: 0.078 0.727 0.589
O: 0.273 0.922 0.911
O: 0.922 0.273 0.411
O: 0.727 0.078 0.089
O: 0.908 0.953 0.666
O: 0.047 0.092 0.834
O: 0.092 0.047 0.334
O: 0.953 0.908 0.166
O: 0.628 0.372 0.750
O: 0.372 0.628 0.250
O: 0.809 0.849 0.528
O: 0.151 0.191 0.972
O: 0.191 0.151 0.472
O: 0.849 0.809 0.028
O: 0.052 0.662 0.819
O: 0.338 0.948 0.681
O: 0.948 0.338 0.181
O: 0.662 0.052 0.319

(5)
# Na2TiZn2SiO7

A relaxed structure of Na2TiZn2SiO7 (PBE, the Materials Project).

* ΔH_f (0 K): -2.6274 eV per atom
* crystal system: orthorhombic

a = 5.257 Å, b = 11.846 Å, c = 20.347 Å
α = 90.00°, β = 90.00°, γ = 90.00°
Fractional positions:
Na: 0.755 0.664 0.171
Na: 0.735 0.176 0.502
Na: 0.235 0.824 0.998
Na: 0.765 0.676 0.498
Na: 0.265 0.324 0.002
Na: 0.265 0.824 0.498
Na: 0.765 0.176 0.002
Na: 0.235 0.324 0.502
Na: 0.255 0.336 0.329
Na: 0.745 0.164 0.829
Na: 0.245 0.836 0.671
Na: 0.735 0.676 0.998
Na: 0.745 0.664 0.671
Na: 0.255 0.836 0.171
Na: 0.755 0.164 0.329
Na: 0.245 0.336 0.829
Ti: 0.790 0.185 0.165
Ti: 0.290 0.815 0.335
Ti: 0.710 0.685 0.835
Ti: 0.210 0.315 0.665
Ti: 0.210 0.815 0.835
Ti: 0.710 0.185 0.665
Ti: 0.290 0.315 0.165
Ti: 0.790 0.685 0.335
Zn: 0.753 0.920 0.739
Zn: 0.753 0.420 0.761
Zn: 0.253 0.580 0.739
Zn: 0.253 0.080 0.761
Zn: 0.247 0.080 0.261
Zn: 0.247 0.580 0.239
Zn: 0.747 0.420 0.261
Zn: 0.786 0.924 0.430
Zn: 0.286 0.076 0.070
Zn: 0.714 0.424 0.570
Zn: 0.214 0.576 0.930
Zn: 0.214 0.076 0.570
Zn: 0.714 0.924 0.930
Zn: 0.286 0.576 0.430
Zn: 0.786 0.424 0.070
Zn: 0.747 0.920 0.239
Si: 0.779 0.929 0.088
Si: 0.279 0.071 0.412
Si: 0.721 0.429 0.912
Si: 0.221 0.571 0.588
Si: 0.221 0.071 0.912
Si: 0.721 0.929 0.588
Si: 0.279 0.571 0.088
Si: 0.779 0.429 0.412
O: 0.700 0.351 0.348
O: 0.200 0.649 0.152
O: 0.800 0.851 0.652
O: 0.300 0.149 0.848
O: 0.300 0.649 0.652
O: 0.800 0.351 0.848
O: 0.200 0.149 0.348
O: 0.700 0.851 0.152
O: 0.654 0.059 0.098
O: 0.154 0.941 0.402
O: 0.846 0.559 0.902
O: 0.346 0.441 0.598
O: 0.346 0.941 0.902
O: 0.846 0.059 0.598
O: 0.154 0.441 0.098
O: 0.654 0.559 0.402
O: 0.667 0.369 0.479
O: 0.167 0.631 0.021
O: 0.833 0.869 0.521
O: 0.333 0.131 0.979
O: 0.333 0.631 0.521
O: 0.833 0.369 0.979
O: 0.167 0.131 0.479
O: 0.667 0.869 0.021
O: 0.952 0.305 0.213
O: 0.586 0.297 0.109
O: 0.452 0.695 0.287
O: 0.048 0.195 0.713
O: 0.048 0.695 0.787
O: 0.548 0.305 0.713
O: 0.452 0.195 0.213
O: 0.952 0.805 0.287
O: 0.591 0.061 0.417
O: 0.091 0.939 0.083
O: 0.909 0.561 0.583
O: 0.409 0.439 0.917
O: 0.409 0.939 0.583
O: 0.909 0.061 0.917
O: 0.091 0.439 0.417
O: 0.591 0.561 0.083
O: 0.897 0.070 0.225
O: 0.397 0.930 0.275
O: 0.603 0.570 0.775
O: 0.103 0.430 0.725
O: 0.103 0.930 0.775
O: 0.603 0.070 0.725
O: 0.397 0.430 0.225
O: 0.897 0.570 0.275
O: 0.586 0.797 0.391
O: 0.086 0.203 0.109
O: 0.914 0.297 0.609
O: 0.414 0.703 0.891
O: 0.414 0.203 0.609
O: 0.914 0.797 0.891
O: 0.086 0.703 0.391
O: 0.548 0.805 0.787

(6)
# KMg6Cd

A relaxed structure of KMg6Cd (PBE, the Materials Project).

* ΔH_f (0 K): 0.1356 eV per atom
* total magnetization: 0.000 μB/atom

a = 5.367 Å, b = 6.666 Å, c = 11.698 Å
α = 90.00°, β = 90.00°, γ = 90.00°
Fractional positions:
K: 0.500 0.000 0.167
K: 0.500 0.500 0.667
Mg: 0.500 0.246 0.417
Mg: 0.500 0.754 0.417
Mg: 0.000 0.739 0.081
Mg: 0.000 0.261 0.081
Mg: 0.000 0.000 0.340
Mg: 0.000 0.500 0.333
Mg: 0.500 0.746 0.917
Mg: 0.500 0.254 0.917
Mg: 0.000 0.239 0.581
Mg: 0.000 0.761 0.581
Mg: 0.000 0.500 0.840
Mg: 0.000 0.000 0.833
Cd: 0.500 0.500 0.164
Cd: 0.500 0.000 0.664

(7)
# La2Ga7Co

A relaxed structure of La2Ga7Co (PBE, the Materials Project).

* ΔH_f (0 K): -0.4761 eV per atom
* total magnetization: 0.003 μB/atom
* crystal system: tetragonal

a = 4.290 Å, b = 4.290 Å, c = 10.670 Å
α = 90.00°, β = 90.00°, γ = 90.00°
Fractional positions:
La: 0.500 0.000 0.757
La: 0.000 0.500 0.243
Ga: 0.000 0.500 0.880
Ga: 0.500 0.000 0.359
Ga: 0.500 0.000 0.120
Ga: 0.000 0.500 0.641
Ga: 0.000 0.000 0.500
Ga: 0.000 0.000 0.000
Ga: 0.500 0.500 0.500
Co: 0.500 0.500 0.000

(8)
# Li3TiP2O8

A relaxed structure of Li3TiP2O8 (PBE, the Materials Project).

* ΔH_f (0 K): -2.8036 eV per atom
* total magnetization: 0.072 μB/atom
* distance to the lowest polymorph of the same formula: 0.0069 eV/atom
* crystal system: monoclinic

a = 5.260 Å, b = 5.260 Å, c = 13.174 Å
α = 82.50°, β = 82.50°, γ = 53.94°
Fractional positions:
Li: 0.361 0.299 0.648
Li: 0.299 0.361 0.148
Li: 0.701 0.639 0.852
Li: 0.639 0.701 0.352
Li: 0.054 0.946 0.750
Li: 0.946 0.054 0.250
Ti: 0.000 0.000 0.500
Ti: 0.000 0.000 0.000
P: 0.365 0.318 0.885
P: 0.318 0.365 0.385
P: 0.682 0.635 0.615
P: 0.635 0.682 0.115
O: 0.727 0.172 0.868
O: 0.172 0.727 0.368
O: 0.229 0.546 0.973
O: 0.546 0.229 0.473
O: 0.186 0.500 0.788
O: 0.961 0.669 0.584
O: 0.500 0.186 0.288
O: 0.669 0.961 0.084
O: 0.331 0.039 0.916
O: 0.500 0.814 0.712
O: 0.039 0.331 0.416
O: 0.814 0.500 0.212
O: 0.454 0.771 0.527
O: 0.771 0.454 0.027
O: 0.828 0.273 0.632
O: 0.273 0.828 0.132

(9)
# TiP3

A relaxed structure of TiP3 (PBE, the Materials Project).

* ΔH_f (0 K): -0.0578 eV per atom
* total magnetization: 0.001 μB/atom
* crystal system: tetragonal

a = 5.108 Å, b = 5.108 Å, c = 5.108 Å
α = 138.35°, β = 138.35°, γ = 60.37°
Fractional positions:
Ti: 0.000 0.000 0.000
P: 0.250 0.750 0.500
P: 0.750 0.250 0.500
P: 0.500 0.500 0.000

(10)
# LiGdC4O10

A relaxed structure of LiGdC4O10 (PBE, the Materials Project).

* ΔH_f (0 K): -1.6126 eV per atom
* total magnetization: 0.312 μB/atom
* crystal system: monoclinic

a = 7.491 Å, b = 9.575 Å, c = 12.470 Å
α = 76.48°, β = 90.00°, γ = 90.00°
Fractional positions:
Li: 0.300 0.590 0.302
Li: 0.700 0.410 0.698
Li: 0.300 0.910 0.698
Li: 0.700 0.090 0.302
Gd: 0.773 0.711 0.255
Gd: 0.227 0.289 0.745
Gd: 0.773 0.789 0.745
Gd: 0.227 0.211 0.255
C: 0.833 0.374 0.278
C: 0.167 0.626 0.722
C: 0.833 0.126 0.722
C: 0.167 0.874 0.278
C: 0.874 0.750 0.000
C: 0.126 0.250 0.000
C: 0.668 0.750 0.000
C: 0.332 0.250 0.000
C: 0.372 0.884 0.286
C: 0.628 0.116 0.714
C: 0.372 0.616 0.714
C: 0.628 0.384 0.286
C: 0.778 0.833 0.480
C: 0.222 0.167 0.520
C: 0.778 0.667 0.520
C: 0.222 0.333 0.480
O: 0.564 0.508 0.279
O: 0.436 0.492 0.721
O: 0.564 0.992 0.721
O: 0.436 0.008 0.279
O: 0.949 0.760 0.089
O: 0.051 0.240 0.911
O: 0.949 0.740 0.911
O: 0.051 0.260 0.089
O: 0.593 0.747 0.091
O: 0.407 0.253 0.909
O: 0.593 0.753 0.909
O: 0.407 0.247 0.091
O: 0.773 0.883 0.375
O: 0.227 0.117 0.625
O: 0.773 0.617 0.625
O: 0.227 0.383 0.375
O: 0.262 0.519 0.125
O: 0.738 0.481 0.875
O: 0.262 0.981 0.875
O: 0.738 0.019 0.125
O: 0.778 0.906 0.551
O: 0.222 0.094 0.449
O: 0.778 0.594 0.449
O: 0.222 0.406 0.551
O: 0.459 0.768 0.296
O: 0.541 0.232 0.704
O: 0.459 0.732 0.704
O: 0.541 0.268 0.296
O: 0.902 0.249 0.294
O: 0.098 0.751 0.706
O: 0.902 0.251 0.706
O: 0.098 0.749 0.294
O: 0.738 0.425 0.974
O: 0.262 0.575 0.026
O: 0.738 0.075 0.026
O: 0.262 0.925 0.974
O: 0.915 0.492 0.253
O: 0.085 0.508 0.747
O: 0.915 0.008 0.747
O: 0.085 0.992 0.253

(11)
# CeNd3Fe28B2

A relaxed structure of CeNd3Fe28B2 (PBE, the Materials Project).

* ΔH_f (0 K): -0.0605 eV per atom
* total magnetization: 1.808 μB/atom
* crystal system: orthorhombic

a = 8.751 Å, b = 8.751 Å, c = 12.096 Å
α = 90.00°, β = 90.00°, γ = 90.05°
Fractional positions:
Ce: 0.232 0.768 0.500
Ce: 0.768 0.232 0.500
Nd: 0.268 0.268 0.000
Nd: 0.732 0.732 0.000
Nd: 0.642 0.642 0.500
Nd: 0.358 0.358 0.500
Nd: 0.859 0.141 0.000
Nd: 0.141 0.859 0.000
Fe: 0.183 0.817 0.254
Fe: 0.817 0.183 0.254
Fe: 0.317 0.317 0.754
Fe: 0.683 0.683 0.754
Fe: 0.817 0.183 0.746
Fe: 0.183 0.817 0.746
Fe: 0.683 0.683 0.246
Fe: 0.317 0.317 0.246
Fe: 0.402 0.598 0.295
Fe: 0.598 0.402 0.295
Fe: 0.098 0.098 0.795
Fe: 0.902 0.902 0.795
Fe: 0.598 0.402 0.705
Fe: 0.402 0.598 0.705
Fe: 0.902 0.902 0.205
Fe: 0.098 0.098 0.205
Fe: 0.140 0.538 0.324
Fe: 0.860 0.462 0.324
Fe: 0.360 0.037 0.824
Fe: 0.640 0.963 0.824
Fe: 0.860 0.462 0.676
Fe: 0.140 0.538 0.676
Fe: 0.640 0.963 0.176
Fe: 0.360 0.037 0.176
Fe: 0.538 0.140 0.324
Fe: 0.462 0.860 0.324
Fe: 0.037 0.360 0.824
Fe: 0.963 0.640 0.824
Fe: 0.462 0.860 0.676
Fe: 0.538 0.140 0.676
Fe: 0.963 0.640 0.176
Fe: 0.037 0.360 0.176
Fe: 0.500 0.500 0.114
Fe: 0.000 0.000 0.614
Fe: 0.500 0.500 0.886
Fe: 0.000 0.000 0.386
Fe: 0.933 0.724 0.373
Fe: 0.067 0.276 0.373
Fe: 0.568 0.224 0.873
Fe: 0.432 0.776 0.873
Fe: 0.067 0.276 0.627
Fe: 0.933 0.724 0.627
Fe: 0.432 0.776 0.127
Fe: 0.568 0.224 0.127
Fe: 0.724 0.933 0.373
Fe: 0.276 0.067 0.373
Fe: 0.224 0.568 0.873
Fe: 0.776 0.432 0.873
Fe: 0.276 0.067 0.627
Fe: 0.724 0.933 0.627
Fe: 0.776 0.432 0.127
Fe: 0.224 0.568 0.127
Fe: 0.000 0.500 0.500
Fe: 0.500 0.000 0.000
Fe: 0.500 0.000 0.500
Fe: 0.000 0.500 0.000
B: 0.874 0.874 0.500
B: 0.126 0.126 0.500
B: 0.626 0.374 0.000
B: 0.374 0.626 0.000

Record order is preserved below.
Total DFT energy (no corrections): -3.6268; -9.7359; -4.9480; -6.5639; -6.3437; -1.3187; -4.2938; -6.9848; -6.0916; -7.9107; -8.0239 eV per atom
Record order is preserved below.
Mass density: 6.56; 13.59; 3.19; 2.33; 3.82; 2.36; 6.97; 2.95; 4.01; 2.84; 7.74 g/cm³